This record from Materials Project describes a relaxed structure of U2Cu5Pb2Se6O30. The functional is GGA-PBE. Values from VASP.

Computed properties:
The uncorrected energy is -263.7 eV/cell. The value obtained for the mass density is 5.406 g/cm3. Its spin magnetization is 0.111 μB per atom.

Quantum ESPRESSO input file:
```
&SYSTEM
  ibrav = 0, nat = 45, ntyp = 5
/
ATOMIC_SPECIES
U 238.03 U.upf
Cu 63.55 Cu.upf
Pb 207.20 Pb.upf
Se 78.96 Se.upf
O 16.00 O.upf
ATOMIC_POSITIONS crystal
U 0.244 0.414 0.252
U 0.756 0.586 0.748
Cu 0.000 0.000 0.500
Cu 0.307 0.059 0.950
Cu 0.450 0.071 0.605
Cu 0.550 0.929 0.395
Cu 0.693 0.941 0.050
Pb 0.136 0.802 0.217
Pb 0.864 0.198 0.783
Se 0.141 0.871 0.782
Se 0.247 0.665 0.482
Se 0.309 0.379 0.954
Se 0.691 0.621 0.046
Se 0.753 0.335 0.518
Se 0.859 0.129 0.218
O 0.022 0.354 0.425
O 0.023 0.528 0.813
O 0.037 0.992 0.883
O 0.128 0.970 0.661
O 0.132 0.204 0.217
O 0.171 0.609 0.357
O 0.174 0.230 0.939
O 0.214 0.830 0.447
O 0.278 0.214 0.673
O 0.327 0.066 0.462
O 0.416 0.899 0.992
O 0.434 0.620 0.153
O 0.456 0.362 0.072
O 0.476 0.638 0.689
O 0.490 0.915 0.245
O 0.510 0.085 0.755
O 0.524 0.362 0.311
O 0.544 0.638 0.928
O 0.566 0.380 0.847
O 0.584 0.101 0.008
O 0.673 0.934 0.538
O 0.722 0.786 0.327
O 0.786 0.170 0.553
O 0.826 0.770 0.061
O 0.829 0.391 0.643
O 0.868 0.796 0.783
O 0.872 0.030 0.339
O 0.963 0.008 0.117
O 0.977 0.472 0.187
O 0.978 0.646 0.575
CELL_PARAMETERS angstrom
5.382 0.000 0.000
0.438 10.430 0.000
1.868 0.248 11.830
```